a.
Entry from the Materials Project database: crystalline Ba2SmMgNbO6 at its relaxed geometry (PBE).

a = 6.971 Å, b = 6.971 Å, c = 6.971 Å
α = 50.81°, β = 50.81°, γ = 50.81°
Positions (direct):
Ba (0.000, 0.000, 0.000)
Ba (0.419, 0.419, 0.419)
Sm (0.215, 0.215, 0.215)
Mg (0.590, 0.590, 0.590)
Nb (0.739, 0.739, 0.739)
O (0.466, 0.956, 0.956)
O (0.496, 0.496, 0.967)
O (0.496, 0.967, 0.496)
O (0.956, 0.466, 0.956)
O (0.956, 0.956, 0.466)
O (0.967, 0.496, 0.496)

The mass density is 5.65 Mg/m³. Its symmetry is No. 160.


b.
Entry from the Materials Project database: crystalline Ba2SmMgNbO6 at its relaxed geometry (PBE).

a = 6.803 Å, b = 6.803 Å, c = 6.803 Å
α = 52.67°, β = 52.67°, γ = 52.67°
Positions (direct):
Ba (0.000, 0.000, 0.000)
Ba (0.464, 0.464, 0.464)
Sm (0.667, 0.667, 0.667)
Mg (0.827, 0.827, 0.827)
Nb (0.193, 0.193, 0.193)
O (0.416, 0.416, 0.933)
O (0.416, 0.933, 0.416)
O (0.443, 0.941, 0.941)
O (0.933, 0.416, 0.416)
O (0.941, 0.443, 0.941)
O (0.941, 0.941, 0.443)

The mass density is 5.75 Mg/m³. Its symmetry is No. 160.


Quick one: most stable of them? a